Entry P
The following is a DFT calculation (PBE) of a relaxed Mg14TiSb crystal.

## Properties
As for the symmetry: No. 187. The calculation puts the volume at 358.8 Å³ per cell.

abc: 6.342 6.342 10.301
angles: 90.00 90.00 120.00
Atoms (fractional coordinates):
Mg (0.169, 0.834, 0.125)
Mg (0.165, 0.832, 0.625)
Mg (0.666, 0.331, 0.125)
Mg (0.668, 0.335, 0.625)
Mg (0.666, 0.834, 0.125)
Mg (0.668, 0.832, 0.625)
Mg (0.331, 0.169, 0.371)
Mg (0.331, 0.169, 0.879)
Mg (0.331, 0.663, 0.371)
Mg (0.331, 0.663, 0.879)
Mg (0.837, 0.169, 0.371)
Mg (0.837, 0.169, 0.879)
Mg (0.833, 0.667, 0.373)
Mg (0.833, 0.667, 0.877)
Ti (0.167, 0.333, 0.125)
Sb (0.167, 0.333, 0.625)

---

Entry Q
The following is a DFT calculation (PBE) of a relaxed Mg14TiSb crystal.

## Properties
As for the symmetry: No. 38. The calculation puts the volume at 361.9 Å³ per cell.

abc: 6.389 6.286 10.350
angles: 90.00 90.00 119.47
Atoms (fractional coordinates):
Mg (0.167, 0.333, 0.625)
Mg (0.166, 0.833, 0.625)
Mg (0.668, 0.332, 0.125)
Mg (0.666, 0.333, 0.625)
Mg (0.668, 0.835, 0.125)
Mg (0.666, 0.833, 0.625)
Mg (0.333, 0.170, 0.374)
Mg (0.333, 0.170, 0.876)
Mg (0.333, 0.663, 0.374)
Mg (0.333, 0.663, 0.876)
Mg (0.837, 0.168, 0.374)
Mg (0.837, 0.168, 0.876)
Mg (0.831, 0.666, 0.377)
Mg (0.831, 0.666, 0.873)
Ti (0.167, 0.334, 0.125)
Sb (0.164, 0.832, 0.125)

---

Most stable structure - entry Q; separation to the second - 10 meV/atom.